# Ti3FeSn2P6O24, optimized geometry, DFT PBE with a Hubbard U
# Energy of formation, eV per formula unit: -99.9
data_Ti3FeSn2P6O24
_space_group_name_H-M_alt 'R 3'
_space_group_IT_number 146
_space_group_name_Hall 'R 3'
_cell_length_a 8.6562
_cell_length_b 8.6562
_cell_length_c 23.0227
_cell_angle_alpha 90.00
_cell_angle_beta 90.00
_cell_angle_gamma 120.00
loop_
_atom_site_label
_atom_site_type_symbol
_atom_site_fract_x
_atom_site_fract_y
_atom_site_fract_z
Ti1 Ti 0.0000 0.0000 0.0000
Ti2 Ti 0.0000 0.0000 0.2082
Ti3 Ti 0.0000 0.0000 0.6960
Fe1 Fe 0.0000 0.0000 0.5059
Sn1 Sn 0.0000 0.0000 0.3702
Sn2 Sn 0.0000 0.0000 0.8382
P1 P 0.0024 0.2945 0.6008
P2 P 0.0546 0.6746 0.7696
O1 O 0.0000 0.8164 0.0480
O2 O 0.0332 0.1935 0.2605
O3 O 0.0336 0.8447 0.7640
O4 O 0.0543 0.2334 0.5464
O5 O 0.1512 0.4834 0.6175
O6 O 0.1606 0.6943 0.8256
O7 O 0.1613 0.6953 0.1053
O8 O 0.1639 0.4683 0.3217